Computed, not measured: a geometry-optimized Mg149P structure at the PBE-GGA level of DFT. Values from VASP.

The structure in Quantum ESPRESSO input format:
```
&SYSTEM
  ibrav = 0, nat = 150, ntyp = 2
/
ATOMIC_SPECIES
Mg 24.30 Mg.upf
P 30.97 P.upf
CELL_PARAMETERS angstrom
15.9506 0.0000 0.0000
-7.9753 13.8137 0.0000
0.0000 0.0000 15.5895
ATOMIC_POSITIONS crystal
Mg 0.0000 0.0000 0.0000
Mg 0.0000 0.0000 0.3338
Mg 0.0000 0.0000 0.6662
Mg 0.9998 0.2001 0.0000
Mg 0.0001 0.2000 0.3339
Mg 0.0001 0.2000 0.6661
Mg 0.0004 0.4003 0.0000
Mg 0.0004 0.6001 0.0000
Mg 0.9998 0.7996 0.0000
Mg 0.0001 0.8001 0.3339
Mg 0.0001 0.8001 0.6661
Mg 0.0018 0.4010 0.3346
Mg 0.0018 0.4010 0.6654
Mg 0.0018 0.6007 0.3346
Mg 0.0018 0.6007 0.6654
Mg 0.1331 0.0665 0.1673
Mg 0.1331 0.0666 0.5000
Mg 0.1331 0.0665 0.8327
Mg 0.1335 0.2669 0.1671
Mg 0.1335 0.2669 0.8329
Mg 0.1335 0.8665 0.1671
Mg 0.1335 0.8665 0.8329
Mg 0.1340 0.2680 0.5000
Mg 0.1340 0.4676 0.1668
Mg 0.1340 0.4676 0.8332
Mg 0.1340 0.6664 0.1668
Mg 0.1340 0.6664 0.8332
Mg 0.1340 0.8660 0.5000
Mg 0.1378 0.4693 0.5000
Mg 0.1378 0.6685 0.5000
Mg 0.2004 0.0002 0.0000
Mg 0.1999 0.9999 0.3339
Mg 0.1999 0.9999 0.6661
Mg 0.2004 0.2001 0.0000
Mg 0.1999 0.2000 0.3339
Mg 0.1999 0.2000 0.6661
Mg 0.1996 0.3991 0.3328
Mg 0.1996 0.3991 0.6672
Mg 0.2002 0.4004 0.0000
Mg 0.2002 0.7998 0.0000
Mg 0.1996 0.8004 0.3328
Mg 0.1996 0.8004 0.6672
Mg 0.2007 0.6003 0.0000
Mg 0.2035 0.6018 0.3367
Mg 0.2035 0.6018 0.6633
Mg 0.3315 0.4693 0.5000
Mg 0.3315 0.8622 0.5000
Mg 0.3335 0.0665 0.1671
Mg 0.3335 0.0665 0.8329
Mg 0.3335 0.2670 0.1671
Mg 0.3335 0.2670 0.8329
Mg 0.3333 0.6667 0.1686
Mg 0.3333 0.6667 0.8314
Mg 0.3335 0.0664 0.5000
Mg 0.3335 0.2671 0.5000
Mg 0.3336 0.4676 0.1668
Mg 0.3336 0.4676 0.8332
Mg 0.3336 0.8660 0.1668
Mg 0.3336 0.8660 0.8332
Mg 0.3982 0.6018 0.3367
Mg 0.3982 0.6018 0.6633
Mg 0.3982 0.7965 0.3367
Mg 0.3982 0.7965 0.6633
Mg 0.3993 0.4010 0.3346
Mg 0.3993 0.4010 0.6654
Mg 0.3993 0.9982 0.3346
Mg 0.3993 0.9982 0.6654
Mg 0.3999 0.9996 0.0000
Mg 0.4000 0.2000 0.0000
Mg 0.4001 0.2000 0.3341
Mg 0.4001 0.2000 0.6659
Mg 0.3999 0.4003 0.0000
Mg 0.3997 0.6003 0.0000
Mg 0.3997 0.7993 0.0000
Mg 0.5307 0.6685 0.5000
Mg 0.5307 0.8622 0.5000
Mg 0.5320 0.0641 0.5000
Mg 0.5320 0.4680 0.5000
Mg 0.5324 0.6664 0.1668
Mg 0.5324 0.6664 0.8332
Mg 0.5324 0.8660 0.1668
Mg 0.5324 0.8660 0.8332
Mg 0.5332 0.0664 0.1676
Mg 0.5332 0.0664 0.8324
Mg 0.5335 0.2667 0.5000
Mg 0.5332 0.4668 0.1676
Mg 0.5332 0.4668 0.8324
Mg 0.5336 0.2668 0.1674
Mg 0.5336 0.2668 0.8326
Mg 0.5990 0.6007 0.3346
Mg 0.5990 0.6007 0.6654
Mg 0.5990 0.9982 0.3346
Mg 0.5990 0.9982 0.6654
Mg 0.5997 0.9996 0.0000
Mg 0.5997 0.1994 0.0000
Mg 0.5996 0.1992 0.3340
Mg 0.5996 0.1992 0.6660
Mg 0.5997 0.4003 0.0000
Mg 0.5996 0.4004 0.3340
Mg 0.5996 0.4004 0.6660
Mg 0.5997 0.6001 0.0000
Mg 0.5996 0.7998 0.0000
Mg 0.6009 0.8004 0.3328
Mg 0.6009 0.8004 0.6672
Mg 0.7320 0.8660 0.5000
Mg 0.7330 0.0665 0.1671
Mg 0.7329 0.0664 0.5000
Mg 0.7330 0.0665 0.8329
Mg 0.7332 0.2668 0.1674
Mg 0.7333 0.2667 0.5000
Mg 0.7332 0.2668 0.8326
Mg 0.7332 0.4664 0.1674
Mg 0.7332 0.4664 0.8326
Mg 0.7333 0.4665 0.5000
Mg 0.7329 0.6665 0.5000
Mg 0.7330 0.6665 0.1671
Mg 0.7330 0.6665 0.8329
Mg 0.7331 0.8665 0.1671
Mg 0.7331 0.8665 0.8329
Mg 0.7999 0.0002 0.0000
Mg 0.8000 0.9999 0.3339
Mg 0.8000 0.9999 0.6661
Mg 0.8000 0.2000 0.0000
Mg 0.8000 0.2000 0.3341
Mg 0.8000 0.2000 0.6659
Mg 0.8000 0.6000 0.0000
Mg 0.8000 0.5999 0.3341
Mg 0.8000 0.5999 0.6659
Mg 0.7999 0.7996 0.0000
Mg 0.8000 0.8001 0.3339
Mg 0.8000 0.8001 0.6661
Mg 0.8006 0.4003 0.0000
Mg 0.8008 0.4004 0.3340
Mg 0.8008 0.4004 0.6660
Mg 0.9335 0.0665 0.1673
Mg 0.9334 0.0666 0.5000
Mg 0.9335 0.0665 0.8327
Mg 0.9335 0.8669 0.1673
Mg 0.9334 0.8669 0.5000
Mg 0.9335 0.8669 0.8327
Mg 0.9335 0.2670 0.1671
Mg 0.9336 0.2671 0.5000
Mg 0.9335 0.2670 0.8329
Mg 0.9336 0.4668 0.1676
Mg 0.9336 0.4668 0.8324
Mg 0.9336 0.6665 0.5000
Mg 0.9335 0.6665 0.1671
Mg 0.9335 0.6665 0.8329
Mg 0.9359 0.4680 0.5000
P 0.3333 0.6667 0.5000
```

Its crystal system is hexagonal. The calculation puts the volume at 22.9 A^3/atom. The calculation puts the energy of formation from the pure elements at -0.02 eV per atom.